The following is a PBE with a Hubbard U calculation of Li3Cr3FeO8 after structural relaxation, from the Materials Project.

Summary:
Relative energy among the computed polymorphs in kJ/mol of formula units: 36.1
M_tot in μB per atom: 0.87
Energy of formation from the pure elements in eV per atom: -2.164
Final energy in eV/atom: -6.76

abc: 5.952 5.952 5.952
angles: 59.25 59.25 59.25
Fractional coordinates of all 15 atoms:
Li (0.000, 0.500, 0.500)
Li (0.500, 0.000, 0.500)
Li (0.500, 0.500, 0.000)
Cr (0.000, 0.000, 0.500)
Cr (0.000, 0.500, 0.000)
Cr (0.500, 0.000, 0.000)
Fe (0.500, 0.500, 0.500)
O (0.241, 0.241, 0.241)
O (0.257, 0.729, 0.729)
O (0.271, 0.271, 0.743)
O (0.271, 0.743, 0.271)
O (0.729, 0.257, 0.729)
O (0.729, 0.729, 0.257)
O (0.743, 0.271, 0.271)
O (0.759, 0.759, 0.759)

=====

The following is a PBE with a Hubbard U calculation of LiCr3Fe2O8 after structural relaxation, from the Materials Project.

Summary:
M_tot in μB per atom: 1.36
Energy of formation from the pure elements in eV per atom: -2.124
Final energy in eV/atom: -7.22

abc: 6.004 6.004 6.004
angles: 59.93 59.93 59.93
Fractional coordinates of all 14 atoms:
Li (0.000, 0.000, 0.000)
Cr (0.372, 0.372, 0.884)
Cr (0.372, 0.884, 0.372)
Cr (0.884, 0.372, 0.372)
Fe (0.371, 0.371, 0.371)
Fe (0.750, 0.750, 0.750)
O (0.136, 0.136, 0.590)
O (0.136, 0.590, 0.136)
O (0.138, 0.138, 0.138)
O (0.147, 0.619, 0.619)
O (0.590, 0.136, 0.136)
O (0.617, 0.617, 0.617)
O (0.619, 0.147, 0.619)
O (0.619, 0.619, 0.147)

=====

The following is a PBE with a Hubbard U calculation of Li3Cr10Fe5O24 after structural relaxation, from the Materials Project.

Summary:
M_tot in μB per atom: 1.31
Energy of formation from the pure elements in eV per atom: -2.170
Final energy in eV/atom: -7.30

abc: 5.990 5.990 14.665
angles: 90.07 90.07 60.00
Fractional coordinates of all 42 atoms:
Li (0.000, 0.000, 0.000)
Li (0.332, 0.332, 0.332)
Li (0.666, 0.666, 0.666)
Cr (0.000, 0.000, 0.627)
Cr (0.008, 0.496, 0.124)
Cr (0.162, 0.162, 0.790)
Cr (0.163, 0.675, 0.790)
Cr (0.334, 0.334, 0.961)
Cr (0.340, 0.829, 0.456)
Cr (0.496, 0.008, 0.124)
Cr (0.675, 0.163, 0.790)
Cr (0.829, 0.340, 0.456)
Cr (0.829, 0.829, 0.456)
Fe (0.333, 0.333, 0.582)
Fe (0.494, 0.494, 0.123)
Fe (0.665, 0.665, 0.295)
Fe (0.667, 0.667, 0.916)
Fe (0.999, 0.999, 0.249)
O (0.000, 0.000, 0.861)
O (0.020, 0.490, 0.872)
O (0.156, 0.686, 0.538)
O (0.157, 0.157, 0.538)
O (0.180, 0.635, 0.045)
O (0.185, 0.185, 0.046)
O (0.298, 0.851, 0.712)
O (0.332, 0.332, 0.197)
O (0.333, 0.333, 0.714)
O (0.351, 0.826, 0.205)
O (0.490, 0.020, 0.872)
O (0.491, 0.491, 0.872)
O (0.514, 0.514, 0.378)
O (0.515, 0.969, 0.378)
O (0.635, 0.180, 0.045)
O (0.666, 0.666, 0.527)
O (0.668, 0.668, 0.048)
O (0.686, 0.156, 0.538)
O (0.823, 0.823, 0.204)
O (0.826, 0.351, 0.205)
O (0.850, 0.850, 0.712)
O (0.851, 0.298, 0.712)
O (0.969, 0.515, 0.378)
O (0.999, 0.999, 0.381)

=====

The following is a PBE with a Hubbard U calculation of Li5Cr2Fe3O10 after structural relaxation, from the Materials Project.

Summary:
M_tot in μB per atom: 1.05
Energy of formation from the pure elements in eV per atom: -2.091
Final energy in eV/atom: -6.40

abc: 5.132 5.140 7.909
angles: 71.52 71.39 80.14
Fractional coordinates of all 20 atoms:
Li (0.000, 0.000, 0.000)
Li (0.486, 0.888, 0.727)
Li (0.498, 0.285, 0.917)
Li (0.502, 0.715, 0.083)
Li (0.514, 0.112, 0.273)
Cr (0.005, 0.402, 0.191)
Cr (0.995, 0.598, 0.809)
Fe (0.003, 0.812, 0.388)
Fe (0.500, 0.500, 0.500)
Fe (0.997, 0.188, 0.612)
O (0.230, 0.635, 0.955)
O (0.231, 0.049, 0.164)
O (0.233, 0.836, 0.557)
O (0.238, 0.451, 0.360)
O (0.249, 0.269, 0.732)
O (0.751, 0.731, 0.268)
O (0.762, 0.549, 0.640)
O (0.767, 0.164, 0.443)
O (0.769, 0.951, 0.836)
O (0.770, 0.365, 0.045)

=====

The following is a PBE with a Hubbard U calculation of Li2Cr2FeO6 after structural relaxation, from the Materials Project.

Summary:
Relative energy among the computed polymorphs in kJ/mol of formula units: 0.0
M_tot in μB per atom: 0.91
Energy of formation from the pure elements in eV per atom: -2.082
Final energy in eV/atom: -6.71

abc: 6.644 6.646 8.413
angles: 70.90 70.94 83.53
Fractional coordinates of all 33 atoms:
Li (0.000, 0.165, 0.334)
Li (0.000, 0.835, 0.666)
Li (0.332, 0.170, 0.998)
Li (0.339, 0.499, 0.664)
Li (0.661, 0.501, 0.336)
Li (0.668, 0.830, 0.002)
Cr (0.006, 0.832, 0.169)
Cr (0.333, 0.834, 0.835)
Cr (0.334, 0.164, 0.499)
Cr (0.666, 0.836, 0.501)
Cr (0.667, 0.166, 0.165)
Cr (0.994, 0.168, 0.831)
Fe (0.000, 0.500, 0.500)
Fe (0.333, 0.501, 0.168)
Fe (0.667, 0.499, 0.832)
O (0.014, 0.855, 0.920)
O (0.021, 0.176, 0.584)
O (0.026, 0.510, 0.253)
O (0.309, 0.154, 0.748)
O (0.325, 0.814, 0.076)
O (0.330, 0.479, 0.409)
O (0.345, 0.194, 0.248)
O (0.347, 0.847, 0.594)
O (0.361, 0.511, 0.919)
O (0.639, 0.489, 0.081)
O (0.653, 0.153, 0.406)
O (0.655, 0.806, 0.752)
O (0.670, 0.521, 0.591)
O (0.675, 0.186, 0.924)
O (0.691, 0.846, 0.252)
O (0.974, 0.490, 0.747)
O (0.979, 0.824, 0.416)
O (0.986, 0.145, 0.080)

=====

The following is a PBE with a Hubbard U calculation of Li11Cr3Fe3O16 after structural relaxation, from the Materials Project.

Summary:
Relative energy among the computed polymorphs in kJ/mol of formula units: 0.0
M_tot in μB per atom: 0.64
Energy of formation from the pure elements in eV per atom: -2.039
Final energy in eV/atom: -6.00

abc: 5.907 5.980 10.047
angles: 83.29 89.97 60.46
Fractional coordinates of all 33 atoms:
Li (0.000, 0.000, 0.000)
Li (0.003, 0.498, 0.980)
Li (0.088, 0.808, 0.528)
Li (0.286, 0.422, 0.741)
Li (0.332, 0.323, 0.482)
Li (0.418, 0.169, 0.981)
Li (0.492, 0.504, 0.977)
Li (0.594, 0.810, 0.534)
Li (0.611, 0.776, 0.049)
Li (0.841, 0.320, 0.467)
Li (0.967, 0.064, 0.248)
Cr (0.289, 0.919, 0.755)
Cr (0.469, 0.059, 0.253)
Cr (0.789, 0.920, 0.757)
Fe (0.466, 0.560, 0.251)
Fe (0.792, 0.416, 0.749)
Fe (0.970, 0.561, 0.251)
O (0.135, 0.744, 0.865)
O (0.136, 0.211, 0.864)
O (0.151, 0.217, 0.358)
O (0.161, 0.673, 0.355)
O (0.298, 0.403, 0.128)
O (0.307, 0.908, 0.141)
O (0.434, 0.640, 0.647)
O (0.448, 0.087, 0.652)
O (0.629, 0.216, 0.359)
O (0.636, 0.724, 0.868)
O (0.650, 0.696, 0.362)
O (0.651, 0.218, 0.865)
O (0.780, 0.442, 0.139)
O (0.783, 0.907, 0.141)
O (0.924, 0.631, 0.645)
O (0.949, 0.103, 0.644)

=====

The following is a PBE with a Hubbard U calculation of Li3CrFe4O8 after structural relaxation, from the Materials Project.

Summary:
M_tot in μB per atom: 1.31
Energy of formation from the pure elements in eV per atom: -1.866
Final energy in eV/atom: -6.39

abc: 5.997 5.997 6.070
angles: 120.12 120.12 59.98
Fractional coordinates of all 16 atoms:
Li (0.000, 0.000, 0.000)
Li (0.000, 0.500, 0.500)
Li (0.500, 0.000, 0.500)
Cr (0.500, 0.500, 0.500)
Fe (0.000, 0.000, 0.500)
Fe (0.000, 0.500, 0.000)
Fe (0.500, 0.000, 0.000)
Fe (0.500, 0.500, 0.000)
O (0.248, 0.248, 0.754)
O (0.248, 0.748, 0.730)
O (0.252, 0.752, 0.270)
O (0.261, 0.261, 0.243)
O (0.739, 0.739, 0.757)
O (0.748, 0.248, 0.730)
O (0.752, 0.252, 0.270)
O (0.752, 0.752, 0.246)

=====

The following is a PBE with a Hubbard U calculation of Li3Cr4FeO8 after structural relaxation, from the Materials Project.

Summary:
M_tot in μB per atom: 1.06
Energy of formation from the pure elements in eV per atom: -2.172
Final energy in eV/atom: -6.96

abc: 6.083 6.083 5.852
angles: 118.02 118.02 58.35
Fractional coordinates of all 16 atoms:
Li (0.000, 0.000, 0.000)
Li (0.000, 0.500, 0.000)
Li (0.500, 0.000, 0.000)
Cr (0.000, 0.000, 0.500)
Cr (0.000, 0.500, 0.500)
Cr (0.500, 0.000, 0.500)
Cr (0.500, 0.500, 0.000)
Fe (0.500, 0.500, 0.500)
O (0.225, 0.739, 0.730)
O (0.231, 0.231, 0.720)
O (0.254, 0.254, 0.269)
O (0.261, 0.775, 0.270)
O (0.739, 0.225, 0.730)
O (0.746, 0.746, 0.731)
O (0.769, 0.769, 0.280)
O (0.775, 0.261, 0.270)

=====

The following is a PBE with a Hubbard U calculation of Li2Cr2FeO6 after structural relaxation, from the Materials Project.

Summary:
Relative energy among the computed polymorphs in kJ/mol of formula units: 45.9
M_tot in μB per atom: 0.91
Energy of formation from the pure elements in eV per atom: -2.039
Final energy in eV/atom: -6.67

abc: 5.078 5.078 10.138
angles: 90.00 90.00 59.96
Fractional coordinates of all 22 atoms:
Li (0.152, 0.348, 0.250)
Li (0.348, 0.152, 0.750)
Li (0.652, 0.848, 0.250)
Li (0.848, 0.652, 0.750)
Cr (0.164, 0.164, 0.000)
Cr (0.336, 0.336, 0.500)
Cr (0.664, 0.664, 0.500)
Cr (0.836, 0.836, 0.000)
Fe (0.000, 0.000, 0.500)
Fe (0.500, 0.500, 0.000)
O (0.007, 0.325, 0.605)
O (0.175, 0.493, 0.895)
O (0.188, 0.812, 0.099)
O (0.312, 0.688, 0.599)
O (0.325, 0.007, 0.395)
O (0.493, 0.175, 0.105)
O (0.507, 0.825, 0.895)
O (0.675, 0.993, 0.605)
O (0.688, 0.312, 0.401)
O (0.812, 0.188, 0.901)
O (0.825, 0.507, 0.105)
O (0.993, 0.675, 0.395)

=====

The following is a PBE with a Hubbard U calculation of Li8CrFe3O12 after structural relaxation, from the Materials Project.

Summary:
M_tot in μB per atom: 0.58
Energy of formation from the pure elements in eV per atom: -1.894
Final energy in eV/atom: -5.76

abc: 4.957 8.531 4.997
angles: 90.00 90.23 90.00
Fractional coordinates of all 24 atoms:
Li (0.000, 0.000, 0.000)
Li (0.000, 0.022, 0.500)
Li (0.000, 0.336, 0.500)
Li (0.000, 0.688, 0.000)
Li (0.500, 0.188, 0.500)
Li (0.500, 0.499, 0.500)
Li (0.500, 0.524, 0.000)
Li (0.500, 0.837, 0.000)
Cr (0.000, 0.352, 0.000)
Fe (0.000, 0.670, 0.500)
Fe (0.500, 0.171, 0.000)
Fe (0.500, 0.854, 0.500)
O (0.148, 0.507, 0.242)
O (0.174, 0.188, 0.215)
O (0.182, 0.840, 0.280)
O (0.321, 0.685, 0.719)
O (0.323, 0.338, 0.780)
O (0.353, 0.013, 0.749)
O (0.647, 0.013, 0.251)
O (0.677, 0.338, 0.220)
O (0.679, 0.685, 0.281)
O (0.818, 0.840, 0.720)
O (0.826, 0.188, 0.785)
O (0.852, 0.507, 0.758)

=====

The following is a PBE with a Hubbard U calculation of Li3Cr2Fe5O12 after structural relaxation, from the Materials Project.

Summary:
M_tot in μB per atom: 1.41
Energy of formation from the pure elements in eV per atom: -1.849
Final energy in eV/atom: -6.54

abc: 5.190 5.190 10.037
angles: 95.48 95.48 120.97
Fractional coordinates of all 22 atoms:
Li (0.000, 0.000, 0.000)
Li (0.416, 0.078, 0.241)
Li (0.922, 0.584, 0.759)
Cr (0.335, 0.665, 0.000)
Cr (0.840, 0.160, 0.500)
Fe (0.087, 0.393, 0.244)
Fe (0.169, 0.831, 0.500)
Fe (0.507, 0.493, 0.500)
Fe (0.607, 0.913, 0.756)
Fe (0.662, 0.338, 0.000)
O (0.078, 0.682, 0.114)
O (0.140, 0.135, 0.389)
O (0.218, 0.550, 0.613)
O (0.318, 0.922, 0.886)
O (0.373, 0.372, 0.103)
O (0.450, 0.782, 0.387)
O (0.557, 0.196, 0.611)
O (0.628, 0.627, 0.897)
O (0.694, 0.060, 0.113)
O (0.804, 0.443, 0.389)
O (0.865, 0.860, 0.611)
O (0.940, 0.306, 0.887)

=====

The following is a PBE with a Hubbard U calculation of Li3Cr3FeO8 after structural relaxation, from the Materials Project.

Summary:
Relative energy among the computed polymorphs in kJ/mol of formula units: 0.0
M_tot in μB per atom: 0.87
Energy of formation from the pure elements in eV per atom: -2.189
Final energy in eV/atom: -6.79

abc: 5.937 5.937 5.962
angles: 119.67 119.67 59.95
Fractional coordinates of all 15 atoms:
Li (0.000, 0.000, 0.000)
Li (0.000, 0.500, 0.000)
Li (0.500, 0.000, 0.000)
Cr (0.000, 0.000, 0.500)
Cr (0.000, 0.500, 0.500)
Cr (0.500, 0.000, 0.500)
Fe (0.500, 0.500, 0.500)
O (0.227, 0.755, 0.714)
O (0.233, 0.233, 0.715)
O (0.245, 0.773, 0.286)
O (0.260, 0.260, 0.277)
O (0.740, 0.740, 0.723)
O (0.755, 0.227, 0.714)
O (0.767, 0.767, 0.285)
O (0.773, 0.245, 0.286)